Density functional theory data (r²SCAN) for a relaxed LaTlAg2 crystal.

Cell and atoms, written as extended XYZ:
```
16
Lattice="7.2436 0.0000 0.0000 0.0000 7.2436 0.0000 0.0000 0.0000 7.2436" Properties=species:S:1:pos:R:3 pbc="T T T"
La 0.0000 0.0000 0.0000
La 0.0000 3.6218 3.6218
La 3.6218 0.0000 3.6218
La 3.6218 3.6218 0.0000
Tl 0.0000 0.0000 3.6218
Tl 0.0000 3.6218 0.0000
Tl 3.6218 0.0000 0.0000
Tl 3.6218 3.6218 3.6218
Ag 1.8109 1.8109 1.8109
Ag 1.8109 1.8109 5.4327
Ag 1.8109 5.4327 1.8109
Ag 1.8109 5.4327 5.4327
Ag 5.4327 1.8109 1.8109
Ag 5.4327 1.8109 5.4327
Ag 5.4327 5.4327 1.8109
Ag 5.4327 5.4327 5.4327
```

## Properties
* density: 9770 kg/m3
* raw total energy: -126.8 eV per formula unit
* ΔE_f: -0.30 eV per atom
* M_tot: 0.00 Bohr magnetons per cell
* volume: 23.8 Å³/atom

***

Density functional theory data (r²SCAN) for a relaxed La2TlAg crystal.

Cell and atoms, written as extended XYZ:
```
16
Lattice="7.8155 0.0000 0.0000 0.0000 7.8155 0.0000 0.0000 0.0000 7.8155" Properties=species:S:1:pos:R:3 pbc="T T T"
La 1.9539 1.9539 1.9539
La 1.9539 1.9539 5.8616
La 1.9539 5.8616 1.9539
La 1.9539 5.8616 5.8616
La 5.8616 1.9539 1.9539
La 5.8616 1.9539 5.8616
La 5.8616 5.8616 1.9539
La 5.8616 5.8616 5.8616
Tl 0.0000 0.0000 0.0000
Tl 0.0000 3.9077 3.9077
Tl 3.9077 0.0000 3.9077
Tl 3.9077 3.9077 0.0000
Ag 0.0000 0.0000 3.9077
Ag 0.0000 3.9077 0.0000
Ag 3.9077 0.0000 0.0000
Ag 3.9077 3.9077 3.9077
```

## Properties
* density: 8210 kg/m3
* raw total energy: -135.7 eV per formula unit
* ΔE_f: -0.42 eV per atom
* M_tot: 1.05 Bohr magnetons per cell
* volume: 29.8 Å³/atom

***

Density functional theory data (r²SCAN) for a relaxed Li8Ag5 crystal.

Cell and atoms, written as extended XYZ:
```
26
Lattice="-4.7363 4.7363 4.7363 4.7363 -4.7363 4.7363 4.7363 4.7363 -4.7363" Properties=species:S:1:pos:R:3 pbc="T T T"
Li 1.0830 1.0830 -1.0830
Li 1.0830 -1.0830 1.0830
Li 5.0464 1.7586 -1.7586
Li 5.0464 -1.7586 1.7586
Li -1.0830 1.0830 1.0830
Li 2.9778 2.9778 -0.3101
Li 2.9778 -0.3101 2.9778
Li 1.7586 5.0464 -1.7586
Li 1.7586 -1.7586 5.0464
Li 4.4262 1.7586 1.7586
Li -0.3101 2.9778 2.9778
Li 1.7586 4.4262 1.7586
Li 1.7586 1.7586 4.4262
Li -1.7586 5.0464 1.7586
Li -1.7586 1.7586 5.0464
Li 3.6533 3.6533 3.6533
Ag 3.1081 3.1081 -3.1081
Ag 3.3546 0.0000 0.0000
Ag 6.1180 0.0000 0.0000
Ag 3.1081 -3.1081 3.1081
Ag 1.6283 1.6283 1.6283
Ag 0.0000 3.3546 0.0000
Ag 0.0000 0.0000 3.3546
Ag 0.0000 6.1180 0.0000
Ag 0.0000 0.0000 6.1180
Ag -3.1081 3.1081 3.1081
```

## Properties
* density: 4648 kg/m3
* raw total energy: -128.0 eV per formula unit
* ΔE_f: -0.17 eV per atom
* M_tot: 0.00 Bohr magnetons per cell
* volume: 16.3 Å³/atom